Entry from Materials Project: a relaxed Na2Mo3O13 crystal (PBE with a Hubbard U).

polymorph energy (0 for the lowest one)	0.000	eV/atom
V	15.8	Å³ per atom
formation enthalpy at 0 K	-1.407	eV/atom

The structure in CIF format:
```
data_Na2Mo3O13
_chemical_formula_sum 'Na4 Mo6 O26'
_symmetry_space_group_name_H-M 'C 1 m 1'
_symmetry_Int_Tables_number 8
_symmetry_space_group_name_Hall 'C -2y'
_cell_length_a 17.5971
_cell_length_b 3.5901
_cell_length_c 11.5869
_cell_angle_alpha 90.00
_cell_angle_beta 128.86
_cell_angle_gamma 90.00
loop_
_atom_site_label
_atom_site_fract_x
_atom_site_fract_y
_atom_site_fract_z
Na1 0.0000 0.0000 0.0000
Na2 0.1813 0.5000 0.5949
Mo1 0.2367 0.5000 0.3042
Mo2 0.4531 0.5000 0.3008
Mo3 0.4595 0.0000 0.5927
O1 0.0785 0.0000 0.4597
O2 0.0828 0.5000 0.6818
O3 0.1147 0.5000 0.1405
O4 0.2238 0.0000 0.0691
O5 0.2264 0.5000 0.4453
O6 0.2877 0.0000 0.3583
O7 0.3054 0.5000 0.2085
O8 0.3068 0.0000 0.8595
O9 0.3298 0.5000 0.8293
O10 0.4245 0.5000 0.5191
O11 0.4398 0.0000 0.3426
O12 0.4524 0.0000 0.7350
O13 0.4542 0.5000 0.1531
```